# 1
The following is a r2SCAN calculation of an optimized crystal structure of ZrTi3, from the Materials Project database.

Cell: 6.057 6.057 4.754 Å, 90.00 90.00 120.00°
Atoms (fractional coordinates):
Zr (0.333, 0.667, 0.750)
Zr (0.667, 0.333, 0.250)
Ti (0.160, 0.321, 0.250)
Ti (0.679, 0.840, 0.250)
Ti (0.160, 0.840, 0.250)
Ti (0.840, 0.679, 0.750)
Ti (0.321, 0.160, 0.750)
Ti (0.840, 0.160, 0.750)

Values from the calculation:
E in eV per atom: -15.35
Space-group type: P6_3/mmc
Calculated volume in Å³/cell: 151.1


# 2
The following is a r2SCAN calculation of an optimized crystal structure of La3ZrSb5, from the Materials Project database.

Cell: 9.743 9.743 6.339 Å, 90.00 90.00 120.00°
Atoms (fractional coordinates):
La (0.381, 0.000, 0.750)
La (0.381, 0.381, 0.250)
La (0.000, 0.619, 0.250)
La (0.000, 0.381, 0.750)
La (0.619, 0.619, 0.750)
La (0.619, 0.000, 0.250)
Zr (0.000, 0.000, 0.000)
Zr (0.000, 0.000, 0.500)
Sb (0.667, 0.333, 0.500)
Sb (0.333, 0.667, 0.000)
Sb (0.742, 0.000, 0.750)
Sb (0.742, 0.742, 0.250)
Sb (0.333, 0.667, 0.500)
Sb (0.667, 0.333, 0.000)
Sb (0.258, 0.000, 0.250)
Sb (0.258, 0.258, 0.750)
Sb (0.000, 0.742, 0.750)
Sb (0.000, 0.258, 0.250)

Values from the calculation:
E in eV per atom: -27.94
Space-group type: P6_3/mcm
Calculated volume in Å³/cell: 521.1


# 3
The following is a r2SCAN calculation of an optimized crystal structure of Te, from the Materials Project database.

Cell: 4.383 4.383 5.977 Å, 89.21 89.21 58.70°
Atoms (fractional coordinates):
Te (0.309, 0.309, 0.661)
Te (0.691, 0.691, 0.339)
Te (0.000, 0.000, 0.000)

Values from the calculation:
Polymorph energy (0 for the lowest one) in eV per formula unit: 0.073
Space-group type: C2/m
Calculated volume in Å³/cell: 98.1


# 4
The following is a r2SCAN calculation of an optimized crystal structure of Cs6Br4O, from the Materials Project database.

Cell: 9.858 9.858 9.858 Å, 88.58 88.58 88.58°
Atoms (fractional coordinates):
Cs (0.933, 0.059, 0.720)
Cs (0.941, 0.280, 0.067)
Cs (0.780, 0.441, 0.567)
Cs (0.433, 0.220, 0.559)
Cs (0.280, 0.067, 0.941)
Cs (0.559, 0.433, 0.220)
Cs (0.441, 0.567, 0.780)
Cs (0.567, 0.780, 0.441)
Cs (0.720, 0.933, 0.059)
Cs (0.220, 0.559, 0.433)
Cs (0.059, 0.720, 0.933)
Cs (0.067, 0.941, 0.280)
Br (0.750, 0.128, 0.372)
Br (0.628, 0.250, 0.872)
Br (0.872, 0.628, 0.250)
Br (0.750, 0.750, 0.750)
Br (0.250, 0.250, 0.250)
Br (0.128, 0.372, 0.750)
Br (0.372, 0.750, 0.128)
Br (0.250, 0.872, 0.628)
O (0.000, 0.000, 0.000)
O (0.500, 0.500, 0.500)

Values from the calculation:
E in eV per atom: -20.85
Space-group type: R-3c
Calculated volume in Å³/cell: 957.1


# 5
The following is a r2SCAN calculation of an optimized crystal structure of TbCuTe2, from the Materials Project database.

Cell: 4.354 4.353 6.882 Å, 90.00 90.01 119.99°
Atoms (fractional coordinates):
Tb (0.000, 0.000, 0.989)
Cu (0.333, 0.667, 0.361)
Te (0.333, 0.667, 0.742)
Te (0.667, 0.333, 0.266)

Values from the calculation:
E in eV per atom: -24.29
Space-group type: P3m1
Calculated volume in Å³/cell: 113.0


# 6
The following is a r2SCAN calculation of an optimized crystal structure of K2ZnBr4, from the Materials Project database.

Cell: 7.269 7.506 9.082 Å, 90.00 108.69 90.00°
Atoms (fractional coordinates):
K (0.773, 0.233, 0.572)
K (0.227, 0.733, 0.428)
K (0.708, 0.236, 0.047)
K (0.292, 0.736, 0.953)
Zn (0.278, 0.260, 0.205)
Zn (0.722, 0.760, 0.795)
Br (0.101, 0.280, 0.931)
Br (0.899, 0.780, 0.069)
Br (0.075, 0.278, 0.368)
Br (0.925, 0.778, 0.632)
Br (0.482, 0.998, 0.260)
Br (0.518, 0.498, 0.740)
Br (0.513, 0.500, 0.269)
Br (0.487, 0.000, 0.731)

Values from the calculation:
E in eV per atom: -12.18
Space-group type: P2_1
Calculated volume in Å³/cell: 469.4


# 7
The following is a r2SCAN calculation of an optimized crystal structure of LuZnPt, from the Materials Project database.

Cell: 3.982 6.828 8.125 Å, 90.00 90.00 90.00°
Atoms (fractional coordinates):
Lu (0.250, 0.550, 0.183)
Lu (0.750, 0.450, 0.817)
Lu (0.750, 0.950, 0.683)
Lu (0.250, 0.050, 0.317)
Zn (0.250, 0.630, 0.562)
Zn (0.750, 0.370, 0.438)
Zn (0.750, 0.870, 0.062)
Zn (0.250, 0.130, 0.938)
Pt (0.250, 0.745, 0.874)
Pt (0.750, 0.255, 0.126)
Pt (0.750, 0.755, 0.374)
Pt (0.250, 0.245, 0.626)

Values from the calculation:
E in eV per atom: -33.92
Space-group type: Pnma
Calculated volume in Å³/cell: 220.9


# 8
The following is a r2SCAN calculation of an optimized crystal structure of LiF, from the Materials Project database.

Cell: 2.887 2.887 2.887 Å, 60.00 60.00 60.00°
Atoms (fractional coordinates):
Li (0.000, 0.000, 0.000)
F (0.500, 0.500, 0.500)

Values from the calculation:
Polymorph energy (0 for the lowest one) in eV per formula unit: 0.000
Space-group type: Fm-3m
Calculated volume in Å³/cell: 17.0


# 9
The following is a r2SCAN calculation of an optimized crystal structure of V3Cu, from the Materials Project database.

Cell: 4.662 4.662 4.662 Å, 133.85 133.85 67.32°
Atoms (fractional coordinates):
V (0.750, 0.250, 0.500)
V (0.250, 0.750, 0.500)
V (0.500, 0.500, 0.000)
Cu (0.000, 0.000, 0.000)

Values from the calculation:
E in eV per atom: -13.14
Space-group type: I4/mmm
Calculated volume in Å³/cell: 51.8


# 10
The following is a r2SCAN calculation of an optimized crystal structure of Gd2Zn6Ge3, from the Materials Project database.

Cell: 7.545 7.545 4.013 Å, 90.00 90.00 120.00°
Atoms (fractional coordinates):
Gd (0.667, 0.333, 0.000)
Gd (0.333, 0.667, 0.000)
Zn (0.286, 0.286, 0.500)
Zn (0.190, 0.000, 0.000)
Zn (0.714, 0.000, 0.500)
Zn (0.000, 0.190, 0.000)
Zn (0.810, 0.810, 0.000)
Zn (0.000, 0.714, 0.500)
Ge (0.386, 0.000, 0.500)
Ge (0.614, 0.614, 0.500)
Ge (0.000, 0.386, 0.500)

Values from the calculation:
E in eV per atom: -16.97
Space-group type: P-62m
Calculated volume in Å³/cell: 197.8


# 11
The following is a r2SCAN calculation of an optimized crystal structure of Ca2GaPt2, from the Materials Project database.

Cell: 5.670 5.670 7.787 Å, 79.27 79.27 60.00°
Atoms (fractional coordinates):
Ca (0.785, 0.514, 0.350)
Ca (0.486, 0.215, 0.150)
Ca (0.215, 0.486, 0.650)
Ca (0.514, 0.785, 0.850)
Ga (0.127, 0.873, 0.250)
Ga (0.873, 0.127, 0.750)
Pt (0.004, 0.736, 0.003)
Pt (0.264, 0.996, 0.497)
Pt (0.996, 0.264, 0.997)
Pt (0.736, 0.004, 0.503)

Values from the calculation:
E in eV per atom: -26.75
Space-group type: C2/c
Calculated volume in Å³/cell: 211.8


# 12
The following is a r2SCAN calculation of an optimized crystal structure of Zr3Tl, from the Materials Project database.

Cell: 4.474 4.474 4.474 Å, 90.00 90.00 90.00°
Atoms (fractional coordinates):
Zr (0.000, 0.500, 0.500)
Zr (0.500, 0.000, 0.500)
Zr (0.500, 0.500, 0.000)
Tl (0.000, 0.000, 0.000)

Values from the calculation:
E in eV per atom: -30.52
Space-group type: Pm-3m
Calculated volume in Å³/cell: 89.5


Among the records above, which one has the lowest calculated volume? LiF